Arrangement w

## Li4Cr3FeO8 (PBE with a Hubbard U)

Data for an optimized crystal structure of Li4Cr3FeO8.

Calculated values
Space group: C2/m, No. 12
Magnetic moment in Bohr magnetons per cell: 2.0
Volume in Å³/cell: 147.7

abc: 5.908 5.908 5.165
angles: 106.69 106.69 60.30
Positions (direct):
Li  0.249  0.751  0.000
Li  0.250  0.250  0.999
Li  0.750  0.750  0.001
Li  0.751  0.249  0.000
Cr  0.000  0.000  0.500
Cr  0.000  0.500  0.500
Cr  0.500  0.000  0.500
Fe  0.500  0.500  0.500
O  0.127  0.630  0.272
O  0.129  0.129  0.274
O  0.370  0.370  0.727
O  0.370  0.873  0.728
O  0.630  0.127  0.272
O  0.630  0.630  0.273
O  0.871  0.871  0.726
O  0.873  0.370  0.728

=====

Arrangement x

## Li4Cr3FeO8 (PBE with a Hubbard U)

Data for an optimized crystal structure of Li4Cr3FeO8.

Calculated values
Space group: R-3m, No. 166
Magnetic moment in Bohr magnetons per cell: 14.0
Volume in Å³/cell: 144.3

abc: 5.897 5.897 5.897
angles: 59.80 59.80 59.80
Positions (direct):
Li  0.000  0.000  0.000
Li  0.000  0.500  0.500
Li  0.500  0.000  0.500
Li  0.500  0.500  0.000
Cr  0.000  0.000  0.500
Cr  0.000  0.500  0.000
Cr  0.500  0.000  0.000
Fe  0.500  0.500  0.500
O  0.242  0.242  0.242
O  0.245  0.740  0.740
O  0.260  0.260  0.755
O  0.260  0.755  0.260
O  0.740  0.245  0.740
O  0.740  0.740  0.245
O  0.755  0.260  0.260
O  0.758  0.758  0.758

=====

How far above the most stable structure does each one sit? In meV/atom: arrangement w 0; arrangement x 17.

=====

Arrangement w

## Li2FePCO7 (PBE with a Hubbard U)

Data for an optimized crystal structure of Li2FePCO7.

Calculated values
Space group: P1, No. 1
Magnetic moment in Bohr magnetons per cell: 4.2
Volume in Å³/cell: 273.1

abc: 5.064 6.426 8.506
angles: 96.28 95.97 92.85
Positions (direct):
Li  0.000  0.000  0.000
Li  0.047  0.606  0.668
Li  0.553  0.878  0.500
Li  0.890  0.435  0.999
Fe  0.087  0.220  0.417
Fe  0.462  0.706  0.094
P  0.006  0.708  0.329
P  0.542  0.215  0.177
C  0.579  0.710  0.808
C  0.959  0.196  0.696
O  0.023  0.534  0.439
O  0.114  0.634  0.168
O  0.174  0.905  0.413
O  0.178  0.290  0.659
O  0.333  0.699  0.840
O  0.387  0.013  0.089
O  0.426  0.276  0.334
O  0.525  0.394  0.068
O  0.655  0.702  0.671
O  0.709  0.760  0.294
O  0.756  0.726  0.938
O  0.797  0.119  0.572
O  0.845  0.172  0.206
O  0.912  0.191  0.840

=====

Arrangement x

## Li2FePCO7 (PBE with a Hubbard U)

Data for an optimized crystal structure of Li2FePCO7.

Calculated values
Space group: P1, No. 1
Magnetic moment in Bohr magnetons per cell: 20.0
Volume in Å³/cell: 548.5

abc: 6.504 9.375 10.118
angles: 62.76 89.64 89.35
Positions (direct):
Li  0.000  0.000  0.000
Li  0.002  0.499  0.500
Li  0.065  0.475  0.972
Li  0.285  0.819  0.808
Li  0.288  0.320  0.306
Li  0.496  0.975  0.472
Li  0.766  0.654  0.165
Li  0.779  0.153  0.668
Fe  0.291  0.251  0.802
Fe  0.293  0.751  0.302
Fe  0.778  0.221  0.174
Fe  0.786  0.721  0.673
P  0.276  0.638  0.666
P  0.279  0.138  0.166
P  0.784  0.835  0.309
P  0.792  0.334  0.809
C  0.261  0.656  0.108
C  0.284  0.156  0.608
C  0.787  0.317  0.367
C  0.792  0.817  0.867
O  0.093  0.735  0.685
O  0.097  0.240  0.181
O  0.249  0.619  0.003
O  0.258  0.125  0.020
O  0.258  0.807  0.083
O  0.259  0.306  0.583
O  0.265  0.625  0.520
O  0.268  0.465  0.799
O  0.280  0.552  0.249
O  0.289  0.965  0.298
O  0.290  0.051  0.749
O  0.308  0.121  0.502
O  0.467  0.733  0.673
O  0.471  0.228  0.175
O  0.595  0.254  0.791
O  0.597  0.751  0.279
O  0.753  0.849  0.454
O  0.758  0.168  0.393
O  0.772  0.922  0.726
O  0.788  0.666  0.893
O  0.792  0.422  0.225
O  0.805  0.349  0.955
O  0.812  0.353  0.473
O  0.813  0.007  0.178
O  0.813  0.854  0.972
O  0.814  0.507  0.677
O  0.968  0.224  0.802
O  0.969  0.727  0.312

=====

How far above the most stable structure does each one sit? In meV/atom: arrangement w 153; arrangement x 0.

=====

Arrangement w

## Li2Fe3CoO8 (PBE with a Hubbard U)

Data for an optimized crystal structure of Li2Fe3CoO8.

Calculated values
Space group: P1, No. 1
Magnetic moment in Bohr magnetons per cell: 60.0
Volume in Å³/cell: 570.0

abc: 8.251 8.276 8.347
angles: 90.01 90.06 90.02
Positions (direct):
Li  0.000  0.000  0.000
Li  0.002  0.499  0.496
Li  0.129  0.629  0.126
Li  0.374  0.375  0.624
Li  0.499  0.504  0.997
Li  0.502  0.003  0.499
Li  0.628  0.875  0.871
Li  0.873  0.130  0.370
Fe  0.127  0.876  0.369
Fe  0.128  0.374  0.870
Fe  0.129  0.131  0.626
Fe  0.374  0.129  0.872
Fe  0.374  0.629  0.371
Fe  0.375  0.875  0.125
Fe  0.627  0.129  0.126
Fe  0.627  0.376  0.371
Fe  0.627  0.627  0.623
Fe  0.872  0.877  0.624
Fe  0.874  0.375  0.125
Fe  0.875  0.631  0.872
Co  0.250  0.253  0.248
Co  0.252  0.750  0.748
Co  0.750  0.253  0.747
Co  0.751  0.753  0.248
O  0.106  0.374  0.106
O  0.115  0.606  0.871
O  0.117  0.892  0.612
O  0.124  0.357  0.644
O  0.129  0.116  0.395
O  0.137  0.139  0.859
O  0.146  0.880  0.140
O  0.149  0.640  0.374
O  0.355  0.357  0.874
O  0.357  0.125  0.645
O  0.371  0.862  0.359
O  0.373  0.894  0.894
O  0.379  0.648  0.144
O  0.388  0.115  0.108
O  0.392  0.395  0.372
O  0.394  0.628  0.607
O  0.607  0.131  0.890
O  0.609  0.896  0.125
O  0.612  0.615  0.386
O  0.623  0.147  0.351
O  0.629  0.393  0.602
O  0.636  0.364  0.137
O  0.640  0.624  0.848
O  0.640  0.856  0.622
O  0.855  0.147  0.121
O  0.856  0.379  0.351
O  0.862  0.633  0.630
O  0.872  0.609  0.108
O  0.879  0.856  0.859
O  0.889  0.388  0.886
O  0.890  0.876  0.387
O  0.894  0.115  0.625

=====

Arrangement x

## Li2Fe3CoO8 (PBE with a Hubbard U)

Data for an optimized crystal structure of Li2Fe3CoO8.

Calculated values
Space group: C2/m, No. 12
Magnetic moment in Bohr magnetons per cell: 15.0
Volume in Å³/cell: 148.6

abc: 5.984 5.984 5.103
angles: 105.93 105.93 58.95
Positions (direct):
Li  0.000  0.500  0.000
Li  0.500  0.000  0.000
Fe  0.000  0.000  0.000
Fe  0.254  0.746  0.500
Fe  0.746  0.254  0.500
Co  0.500  0.500  0.000
O  0.107  0.107  0.751
O  0.159  0.635  0.782
O  0.365  0.841  0.218
O  0.394  0.394  0.244
O  0.606  0.606  0.756
O  0.635  0.159  0.782
O  0.841  0.365  0.218
O  0.893  0.893  0.249

=====

How far above the most stable structure does each one sit? In meV/atom: arrangement w 62; arrangement x 0.

=====

Arrangement w

## AlV2O4 (PBE with a Hubbard U)

Data for an optimized crystal structure of AlV2O4.

Calculated values
Space group: R-3m, No. 166
Volume in Å³/cell: 149.0

abc: 5.910 5.910 5.910
angles: 60.92 60.92 60.92
Positions (direct):
Al  0.124  0.124  0.124
Al  0.876  0.876  0.876
V  0.000  0.500  0.500
V  0.500  0.000  0.500
V  0.500  0.500  0.000
V  0.500  0.500  0.500
O  0.247  0.247  0.751
O  0.247  0.751  0.247
O  0.249  0.249  0.249
O  0.249  0.753  0.753
O  0.751  0.247  0.247
O  0.751  0.751  0.751
O  0.753  0.249  0.753
O  0.753  0.753  0.249

=====

Arrangement x

## AlV2O4 (PBE with a Hubbard U)

Data for an optimized crystal structure of AlV2O4.

Calculated values
Space group: Imma, No. 74
Magnetic moment in Bohr magnetons per cell: 10.0
Volume in Å³/cell: 151.0

abc: 6.040 6.040 6.040
angles: 122.01 121.80 86.73
Positions (direct):
Al  0.000  0.000  0.000
Al  0.500  0.000  0.500
V  0.000  0.000  0.500
V  0.000  0.500  0.000
V  0.379  0.629  0.750
V  0.621  0.371  0.250
O  0.218  0.219  0.999
O  0.242  0.214  0.472
O  0.242  0.770  0.028
O  0.280  0.781  0.499
O  0.720  0.219  0.501
O  0.758  0.230  0.972
O  0.758  0.786  0.528
O  0.782  0.781  0.001

=====

How far above the most stable structure does each one sit? In meV/atom: arrangement w 0; arrangement x 63.